Compound: ScSi7Ir3
Source: the Materials Project
Functional: meta-GGA r2SCAN
Structure: optimized geometry

- Crystal system: trigonal
- Magnetization: 0.00 μB per atom
- Symmetry: R-3c
- ΔH_f (0 K): -0.72 eV/atom

Cell: 7.934 7.934 7.934 Å, 56.67 56.67 56.67°
Positions (direct):
Si 0.173 0.563 0.351
Si 0.750 0.750 0.750
Si 0.437 0.649 0.827
Ir 0.926 0.574 0.250
Si 0.351 0.173 0.563
Si 0.250 0.250 0.250
Ir 0.074 0.426 0.750
Ir 0.574 0.250 0.926
Si 0.827 0.437 0.649
Ir 0.750 0.074 0.426
Sc 0.000 0.000 0.000
Si 0.149 0.937 0.327
Si 0.851 0.063 0.673
Ir 0.426 0.750 0.074
Si 0.673 0.851 0.063
Si 0.063 0.673 0.851
Si 0.937 0.327 0.149
Si 0.327 0.149 0.937
Ir 0.250 0.926 0.574
Sc 0.500 0.500 0.500
Si 0.649 0.827 0.437
Si 0.563 0.351 0.173

Compound: YbEr3
Source: the Materials Project
Functional: meta-GGA r2SCAN
Structure: optimized geometry

- Crystal system: tetragonal
- Magnetization: 0.00 μB per atom
- Symmetry: I4/mmm
- ΔH_f (0 K): 0.06 eV/atom

Cell: 6.067 6.067 6.067 Å, 131.94 131.94 70.33°
Positions (direct):
Yb 0.000 0.000 0.000
Er 0.750 0.250 0.500
Er 0.250 0.750 0.500
Er 0.500 0.500 0.000

Compound: CuPd3
Source: the Materials Project
Functional: meta-GGA r2SCAN
Structure: optimized geometry

- Crystal system: tetragonal
- Magnetization: 0.00 μB per atom
- Symmetry: I4/mmm
- ΔH_f (0 K): -0.05 eV/atom

Cell: 4.750 4.750 4.750 Å, 132.71 132.71 69.11°
Positions (direct):
Pd 0.500 0.500 0.000
Pd 0.250 0.750 0.500
Cu 0.000 0.000 0.000
Pd 0.750 0.250 0.500

Compound: EuCu2O4
Source: the Materials Project
Functional: meta-GGA r2SCAN
Structure: optimized geometry

- Crystal system: tetragonal
- Magnetization: 1.00 μB per atom
- Symmetry: I4_1/a
- ΔH_f (0 K): -1.64 eV/atom

Cell: 6.304 6.304 6.304 Å, 125.61 125.61 80.53°
Positions (direct):
O 0.577 0.654 0.634
Eu 0.000 0.000 0.000
O 0.730 0.307 0.134
O 0.404 0.271 0.578
O 0.057 0.422 0.077
Cu 0.375 0.125 0.750
Eu 0.750 0.250 0.500
O 0.021 0.943 0.366
Cu 0.875 0.625 0.250
O 0.172 0.596 0.866
O 0.693 0.827 0.422
Cu 0.375 0.625 0.250
O 0.346 0.980 0.923
Cu 0.375 0.625 0.750

Compound: EuMg2Sb2
Source: the Materials Project
Functional: meta-GGA r2SCAN
Structure: optimized geometry

- Crystal system: trigonal
- Magnetization: 1.40 μB per atom
- Symmetry: P-3m1
- ΔH_f (0 K): -0.91 eV/atom

Cell: 4.707 4.707 7.716 Å, 90.00 90.00 120.00°
Positions (direct):
Sb 0.333 0.667 0.253
Mg 0.667 0.333 0.369
Mg 0.333 0.667 0.631
Eu 0.000 0.000 0.000
Sb 0.667 0.333 0.747

Compound: Nd3SbO7
Source: the Materials Project
Functional: meta-GGA r2SCAN
Structure: optimized geometry

- Crystal system: orthorhombic
- Magnetization: 0.00 μB per atom
- Symmetry: Cmcm
- ΔH_f (0 K): -3.15 eV/atom

Cell: 6.640 6.640 7.663 Å, 90.00 90.00 110.77°
Positions (direct):
O 0.560 0.812 0.466
O 0.440 0.188 0.966
Nd 0.000 0.000 0.500
Sb 0.500 0.500 0.000
O 0.579 0.579 0.750
O 0.440 0.188 0.534
O 0.153 0.889 0.250
Nd 0.934 0.480 0.750
Nd 0.000 0.000 0.000
Sb 0.500 0.500 0.500
O 0.188 0.440 0.534
O 0.421 0.421 0.250
Nd 0.520 0.066 0.250
O 0.560 0.812 0.034
Nd 0.480 0.934 0.750
O 0.812 0.560 0.466
O 0.847 0.111 0.750
Nd 0.066 0.520 0.250
O 0.111 0.847 0.750
O 0.188 0.440 0.966
O 0.889 0.153 0.250
O 0.812 0.560 0.034

Compound: Eu4Ir
Source: the Materials Project
Functional: meta-GGA r2SCAN
Structure: optimized geometry

- Crystal system: tetragonal
- Magnetization: 5.84 μB per atom
- Symmetry: I4_1/amd
- ΔH_f (0 K): -0.32 eV/atom

Cell: 7.713 7.713 7.713 Å, 107.52 107.52 113.44°
Positions (direct):
Ir 0.375 0.625 0.750
Eu 0.304 0.861 0.057
Ir 0.625 0.375 0.250
Eu 0.752 0.696 0.057
Eu 0.248 0.304 0.943
Eu 0.696 0.139 0.943
Eu 0.696 0.752 0.557
Eu 0.139 0.696 0.443
Eu 0.304 0.248 0.443
Eu 0.861 0.304 0.557

Compound: Nb3I8
Source: the Materials Project
Functional: meta-GGA r2SCAN
Structure: optimized geometry

- Crystal system: trigonal
- Magnetization: 0.00 μB per atom
- Symmetry: R-3m
- ΔH_f (0 K): -0.64 eV/atom

Cell: 15.083 15.083 15.083 Å, 29.57 29.57 29.57°
Positions (direct):
I 0.216 0.216 0.216
I 0.706 0.706 0.209
I 0.117 0.625 0.117
Nb 0.454 0.843 0.454
I 0.209 0.706 0.706
Nb 0.157 0.546 0.546
I 0.294 0.791 0.294
I 0.791 0.294 0.294
I 0.883 0.375 0.883
I 0.625 0.117 0.117
I 0.883 0.883 0.375
I 0.634 0.634 0.634
I 0.294 0.294 0.791
Nb 0.546 0.546 0.157
Nb 0.843 0.454 0.454
Nb 0.454 0.454 0.843
I 0.375 0.883 0.883
I 0.366 0.366 0.366
I 0.117 0.117 0.625
I 0.706 0.209 0.706
Nb 0.546 0.157 0.546
I 0.784 0.784 0.784

Compound: V3Sb2
Source: the Materials Project
Functional: meta-GGA r2SCAN
Structure: optimized geometry

- Crystal system: trigonal
- Magnetization: 0.17 μB per atom
- Symmetry: R-3m
- ΔH_f (0 K): -0.20 eV/atom

Cell: 7.484 7.484 7.484 Å, 43.16 43.16 43.16°
Positions (direct):
Sb 0.669 0.669 0.669
V 0.397 0.873 0.397
Sb 0.331 0.331 0.331
V 0.127 0.603 0.603
V 0.603 0.127 0.603
Sb 0.110 0.110 0.110
Sb 0.890 0.890 0.890
V 0.397 0.397 0.873
V 0.873 0.397 0.397
V 0.603 0.603 0.127

Compound: FeNiPt2
Source: the Materials Project
Functional: meta-GGA r2SCAN
Structure: optimized geometry

- Crystal system: tetragonal
- Magnetization: 1.30 μB per atom
- Symmetry: P4/mmm
- ΔH_f (0 K): -0.31 eV/atom

Cell: 3.858 3.858 3.640 Å, 90.00 90.00 90.00°
Positions (direct):
Ni 0.500 0.500 0.000
Pt 0.500 0.000 0.500
Fe 0.000 0.000 0.000
Pt 0.000 0.500 0.500

Compound: Y2Ge2O7
Source: the Materials Project
Functional: meta-GGA r2SCAN
Structure: optimized geometry

- Crystal system: cubic
- Magnetization: 0.00 μB per atom
- Symmetry: Fd-3m
- ΔH_f (0 K): -2.88 eV/atom

Cell: 7.015 7.015 7.015 Å, 60.00 60.00 60.00°
Positions (direct):
Ge 0.625 0.125 0.625
O 0.702 0.298 0.702
Y 0.125 0.125 0.625
O 0.298 0.702 0.298
Y 0.125 0.125 0.125
Y 0.125 0.625 0.125
O 0.952 0.548 0.548
Y 0.625 0.125 0.125
O 0.952 0.548 0.952
O 0.250 0.250 0.250
O 0.298 0.702 0.702
Ge 0.625 0.625 0.125
O 0.702 0.298 0.298
O 0.548 0.952 0.548
Ge 0.625 0.625 0.625
O 0.548 0.548 0.952
O 0.702 0.702 0.298
O 0.548 0.952 0.952
Ge 0.125 0.625 0.625
O 0.952 0.952 0.548
O 0.298 0.298 0.702
O 0.000 0.000 0.000

Compound: Na2TiF6
Source: the Materials Project
Functional: meta-GGA r2SCAN
Structure: optimized geometry

- Crystal system: trigonal
- Magnetization: 0.00 μB per atom
- Symmetry: P321
- ΔH_f (0 K): -3.44 eV/atom

Cell: 9.134 9.134 5.031 Å, 90.00 90.00 120.00°
Positions (direct):
F 0.472 0.248 0.291
Ti 0.333 0.667 0.497
Na 0.372 0.372 0.000
Na 0.628 0.000 0.000
F 0.140 0.548 0.284
F 0.861 0.408 0.716
Ti 0.000 0.000 0.000
F 0.111 0.194 0.213
F 0.917 0.806 0.787
F 0.752 0.223 0.291
F 0.528 0.777 0.709
F 0.452 0.592 0.284
F 0.083 0.889 0.213
F 0.806 0.917 0.213
Ti 0.667 0.333 0.503
F 0.889 0.083 0.787
F 0.194 0.111 0.787
F 0.223 0.752 0.709
F 0.548 0.140 0.716
F 0.592 0.452 0.716
F 0.248 0.472 0.709
Na 0.000 0.292 0.500
F 0.777 0.528 0.291
Na 0.000 0.628 0.000
Na 0.292 0.000 0.500
Na 0.708 0.708 0.500
F 0.408 0.860 0.284

Compound: RbFeS2
Source: the Materials Project
Functional: meta-GGA r2SCAN
Structure: optimized geometry

- Crystal system: orthorhombic
- Magnetization: 0.75 μB per atom
- Symmetry: Immm
- ΔH_f (0 K): -0.89 eV/atom

Cell: 7.211 7.211 7.211 Å, 136.45 123.63 73.82°
Positions (direct):
Rb 0.674 0.674 0.000
S 0.256 0.000 0.256
S 0.153 0.653 0.500
Fe 0.000 0.750 0.750
Rb 0.326 0.326 0.000
S 0.847 0.347 0.500
S 0.744 0.000 0.744
Fe 0.000 0.250 0.250

Compound: BaBrCl
Source: the Materials Project
Functional: meta-GGA r2SCAN
Structure: optimized geometry

- Crystal system: orthorhombic
- Magnetization: 0.00 μB per atom
- Symmetry: Pnma
- ΔH_f (0 K): -2.69 eV/atom

Cell: 8.258 4.853 9.578 Å, 90.00 90.00 90.00°
Positions (direct):
Br 0.029 0.250 0.829
Cl 0.143 0.250 0.432
Br 0.529 0.250 0.671
Ba 0.736 0.750 0.879
Br 0.971 0.750 0.171
Ba 0.764 0.250 0.379
Cl 0.357 0.750 0.932
Ba 0.264 0.250 0.121
Cl 0.643 0.250 0.068
Ba 0.236 0.750 0.621
Cl 0.857 0.750 0.568
Br 0.471 0.750 0.329

Compound: EuGe2Pt2
Source: the Materials Project
Functional: meta-GGA r2SCAN
Structure: optimized geometry

- Crystal system: monoclinic
- Magnetization: 0.00 μB per atom
- Symmetry: P2_1/m
- ΔH_f (0 K): -0.92 eV/atom

Cell: 4.401 4.408 9.928 Å, 90.33 90.00 90.00°
Positions (direct):
Pt 0.250 0.247 0.377
Ge 0.250 0.749 0.500
Ge 0.750 0.764 0.873
Eu 0.250 0.251 0.745
Pt 0.250 0.732 0.999
Pt 0.750 0.753 0.623
Ge 0.750 0.251 0.500
Pt 0.750 0.268 0.001
Ge 0.250 0.236 0.127
Eu 0.750 0.749 0.255

Compound: Dy2Mg
Source: the Materials Project
Functional: meta-GGA r2SCAN
Structure: optimized geometry

- Crystal system: orthorhombic
- Magnetization: 0.00 μB per atom
- Symmetry: Cmcm
- ΔH_f (0 K): -0.07 eV/atom

Cell: 3.689 8.762 5.434 Å, 90.00 90.00 77.85°
Positions (direct):
Dy 0.980 0.040 0.000
Mg 0.455 0.089 0.500
Dy 0.798 0.405 0.500
Dy 0.662 0.677 0.000
Dy 0.116 0.768 0.500
Mg 0.322 0.355 0.000

Compound: Y2InCl7
Source: the Materials Project
Functional: meta-GGA r2SCAN
Structure: optimized geometry

- Crystal system: orthorhombic
- Magnetization: 0.00 μB per atom
- Symmetry: Pnma
- ΔH_f (0 K): -2.23 eV/atom

Cell: 6.923 12.653 12.792 Å, 90.00 90.00 90.00°
Positions (direct):
Cl 0.010 0.085 0.617
Y 0.250 0.663 0.747
Cl 0.990 0.915 0.383
Cl 0.250 0.683 0.396
Cl 0.008 0.955 0.128
Cl 0.510 0.915 0.383
Cl 0.506 0.312 0.829
Cl 0.494 0.812 0.671
Cl 0.990 0.585 0.883
Y 0.750 0.035 0.264
In 0.250 0.200 0.037
Cl 0.006 0.812 0.671
Cl 0.992 0.045 0.872
Cl 0.508 0.045 0.872
In 0.750 0.800 0.963
Cl 0.490 0.415 0.117
Cl 0.994 0.188 0.329
Cl 0.492 0.955 0.128
Cl 0.992 0.455 0.372
Y 0.250 0.965 0.736
Cl 0.006 0.688 0.171
Y 0.750 0.465 0.764
Y 0.250 0.535 0.236
Cl 0.994 0.312 0.829
Cl 0.494 0.688 0.171
Cl 0.510 0.585 0.883
Y 0.750 0.337 0.253
In 0.250 0.300 0.537
Cl 0.008 0.545 0.628
In 0.750 0.700 0.463
Cl 0.750 0.183 0.104
Cl 0.010 0.415 0.117
Cl 0.490 0.085 0.617
Cl 0.508 0.455 0.372
Y 0.250 0.837 0.247
Cl 0.750 0.317 0.604
Y 0.750 0.163 0.753
Cl 0.250 0.817 0.896
Cl 0.506 0.188 0.329
Cl 0.492 0.545 0.628

Compound: Cs2SbCl6
Source: the Materials Project
Functional: meta-GGA r2SCAN
Structure: optimized geometry

- Crystal system: tetragonal
- Magnetization: 0.05 μB per atom
- Symmetry: I-4m2
- ΔH_f (0 K): -1.54 eV/atom

Cell: 12.880 12.880 12.880 Å, 131.76 131.76 70.60°
Positions (direct):
Cl 0.759 0.999 0.760
Cl 0.990 0.250 0.740
Cs 0.124 0.126 0.499
Cl 0.001 0.241 0.240
Cl 0.011 0.750 0.261
Cl 0.499 0.740 0.240
Cl 0.239 0.999 0.240
Sb 0.750 0.250 0.500
Cl 0.250 0.989 0.739
Cs 0.124 0.624 0.997
Sb 0.000 0.000 0.000
Cl 0.750 0.010 0.260
Cl 0.630 0.130 0.500
Cl 0.620 0.620 0.000
Cl 0.120 0.120 0.000
Cl 0.131 0.631 0.500
Cl 0.741 0.501 0.240
Cl 0.870 0.370 0.500
Cs 0.627 0.625 0.501
Sb 0.250 0.750 0.500
Cl 0.750 0.490 0.740
Cl 0.260 0.501 0.760
Cs 0.375 0.373 0.499
Cs 0.627 0.126 0.003
Cs 0.376 0.876 0.003
Cs 0.874 0.876 0.501
Sb 0.500 0.500 0.000
Cl 0.880 0.880 0.000
Cl 0.369 0.869 0.500
Cl 0.250 0.512 0.261
Cl 0.510 0.250 0.260
Cs 0.874 0.373 0.997
Cl 0.488 0.750 0.739
Cl 0.380 0.380 0.000
Cl 0.499 0.259 0.760
Cl 0.001 0.761 0.760